VASP calculation (PBE-GGA) on a relaxed PmRh3 crystal.

Calculated values
Symmetry ... Pm-3m

Lattice parameters (Å, degrees): 4.115 4.115 4.115 90.00 90.00 90.00
Element x y z (fractional)
1 Pm 0.000 0.000 0.000
2 Rh 0.000 0.500 0.500
3 Rh 0.500 0.000 0.500
4 Rh 0.500 0.500 0.000

***

VASP calculation (PBE-GGA) on a relaxed SrTcN3 crystal.

Calculated values
Symmetry ... Cmcm
Total magnetization ... 0.0 μB/f.u.

Lattice parameters (Å, degrees): 6.654 6.654 5.769 90.00 90.00 143.10
Element x y z (fractional)
1 Sr 0.129 0.871 0.750
2 Sr 0.871 0.129 0.250
3 Tc 0.405 0.595 0.750
4 Tc 0.595 0.405 0.250
5 N 0.046 0.652 0.250
6 N 0.348 0.954 0.250
7 N 0.500 0.500 0.000
8 N 0.500 0.500 0.500
9 N 0.652 0.046 0.750
10 N 0.954 0.348 0.750

***

VASP calculation (PBE-GGA) on a relaxed Mg6NiB crystal.

Calculated values
Polymorph energy (0 for the lowest one) ... 222 meV per atom
Total magnetization ... 0.0 μB/f.u.

Lattice parameters (Å, degrees): 4.440 6.393 9.937 90.00 90.00 90.00
Element x y z (fractional)
1 Mg 0.500 0.252 0.596
2 Mg 0.500 0.748 0.596
3 Mg 0.000 0.246 0.405
4 Mg 0.000 0.754 0.405
5 Mg 0.000 0.000 0.675
6 Mg 0.000 0.000 0.171
7 Mg 0.500 0.752 0.096
8 Mg 0.500 0.248 0.096
9 Mg 0.000 0.746 0.905
10 Mg 0.000 0.254 0.905
11 Mg 0.000 0.500 0.175
12 Mg 0.000 0.500 0.671
13 Ni 0.500 0.000 0.836
14 Ni 0.500 0.500 0.336
15 B 0.500 0.000 0.315
16 B 0.500 0.500 0.815

***

VASP calculation (PBE-GGA) on a relaxed SrB12H12O8 crystal.

Calculated values
Symmetry ... R-3
Polymorph energy (0 for the lowest one) ... 872 meV per atom
Total magnetization ... 2.0 μB/f.u.

Lattice parameters (Å, degrees): 7.293 7.293 7.293 87.21 87.21 87.21
Element x y z (fractional)
1 Sr 0.000 0.000 0.000
2 B 0.283 0.484 0.431
3 B 0.340 0.421 0.659
4 B 0.341 0.660 0.579
5 B 0.421 0.659 0.340
6 B 0.431 0.283 0.484
7 B 0.484 0.431 0.283
8 B 0.516 0.569 0.717
9 B 0.569 0.717 0.516
10 B 0.579 0.341 0.660
11 B 0.659 0.340 0.421
12 B 0.660 0.579 0.341
13 B 0.717 0.516 0.569
14 H 0.129 0.482 0.384
15 H 0.229 0.363 0.771
16 H 0.229 0.771 0.637
17 H 0.363 0.771 0.229
18 H 0.384 0.129 0.482
19 H 0.482 0.384 0.129
20 H 0.518 0.616 0.871
21 H 0.616 0.871 0.518
22 H 0.637 0.229 0.771
23 H 0.771 0.229 0.363
24 H 0.771 0.637 0.229
25 H 0.871 0.518 0.616
26 O 0.015 0.974 0.423
27 O 0.026 0.577 0.985
28 O 0.181 0.181 0.181
29 O 0.423 0.015 0.974
30 O 0.577 0.985 0.026
31 O 0.819 0.819 0.819
32 O 0.974 0.423 0.015
33 O 0.985 0.026 0.577

***

VASP calculation (PBE-GGA) on a relaxed Mo4HS8 crystal.

Calculated values
Symmetry ... Pmm2
Total magnetization ... 1.3 μB/f.u.

Lattice parameters (Å, degrees): 3.145 13.034 29.669 90.00 90.00 90.00
Element x y z (fractional)
1 Mo 0.000 0.000 0.000
2 Mo 0.000 0.000 0.183
3 Mo 0.000 0.500 0.121
4 Mo 0.000 0.500 0.305
5 Mo 0.500 0.000 0.089
6 Mo 0.500 0.000 0.273
7 Mo 0.500 0.500 0.027
8 Mo 0.500 0.500 0.215
9 H 0.000 0.094 0.353
10 H 0.000 0.906 0.353
11 S 0.000 0.120 0.120
12 S 0.000 0.121 0.309
13 S 0.000 0.380 0.184
14 S 0.000 0.383 0.994
15 S 0.000 0.617 0.994
16 S 0.000 0.620 0.184
17 S 0.000 0.879 0.309
18 S 0.000 0.880 0.120
19 S 0.500 0.123 0.026
20 S 0.500 0.124 0.213
21 S 0.500 0.378 0.279
22 S 0.500 0.380 0.089
23 S 0.500 0.620 0.089
24 S 0.500 0.622 0.279
25 S 0.500 0.876 0.213
26 S 0.500 0.877 0.026

***

VASP calculation (PBE-GGA) on a relaxed LiTaF6 crystal.

Calculated values
Symmetry ... R-3

Lattice parameters (Å, degrees): 5.571 5.571 5.571 58.76 58.76 58.76
Element x y z (fractional)
1 Li 0.000 0.000 0.000
2 Ta 0.500 0.500 0.500
3 F 0.183 0.740 0.335
4 F 0.260 0.665 0.817
5 F 0.335 0.183 0.740
6 F 0.665 0.817 0.260
7 F 0.740 0.335 0.183
8 F 0.817 0.260 0.665

***

VASP calculation (PBE-GGA) on a relaxed Ca8Fe3N8 crystal.

Calculated values
Symmetry ... C2/m
Total magnetization ... 8.0 μB/f.u.

Lattice parameters (Å, degrees): 9.281 9.281 7.124 105.46 105.46 31.28
Element x y z (fractional)
1 Ca 0.029 0.029 0.258
2 Ca 0.199 0.199 0.808
3 Ca 0.334 0.334 0.531
4 Ca 0.407 0.407 0.035
5 Ca 0.593 0.593 0.965
6 Ca 0.666 0.666 0.469
7 Ca 0.801 0.801 0.192
8 Ca 0.971 0.971 0.742
9 Fe 0.188 0.188 0.207
10 Fe 0.500 0.500 0.500
11 Fe 0.812 0.812 0.793
12 N 0.104 0.104 0.004
13 N 0.177 0.177 0.442
14 N 0.280 0.280 0.168
15 N 0.470 0.470 0.728
16 N 0.530 0.530 0.272
17 N 0.720 0.720 0.832
18 N 0.823 0.823 0.558
19 N 0.896 0.896 0.996

***

VASP calculation (PBE-GGA) on a relaxed Sm3RuO7 crystal.

Calculated values
Symmetry ... Cmcm
Polymorph energy (0 for the lowest one) ... 5 meV per atom

Lattice parameters (Å, degrees): 6.552 6.552 7.540 90.00 90.00 69.00
Element x y z (fractional)
1 Sm 0.000 0.000 0.000
2 Sm 0.000 0.000 0.500
3 Sm 0.080 0.476 0.750
4 Sm 0.476 0.080 0.250
5 Sm 0.524 0.920 0.750
6 Sm 0.920 0.524 0.250
7 Ru 0.500 0.500 0.000
8 Ru 0.500 0.500 0.500
9 O 0.107 0.157 0.250
10 O 0.157 0.107 0.750
11 O 0.185 0.561 0.039
12 O 0.185 0.561 0.461
13 O 0.415 0.585 0.750
14 O 0.439 0.815 0.039
15 O 0.439 0.815 0.461
16 O 0.561 0.185 0.539
17 O 0.561 0.185 0.961
18 O 0.585 0.415 0.250
19 O 0.815 0.439 0.539
20 O 0.815 0.439 0.961
21 O 0.843 0.893 0.250
22 O 0.893 0.843 0.750

***

Number 1: ΔE_f -0.368 eV/atom. Number 2: ΔE_f -0.552 eV/atom. Number 3: ΔE_f 0.333 eV/atom. Number 4: ΔE_f -0.072 eV/atom. Number 5: ΔE_f -0.788 eV/atom. Number 6: ΔE_f -3.577 eV/atom. Number 7: ΔE_f -0.906 eV/atom. Number 8: ΔE_f -3.118 eV/atom.